DFT (PBE with a Hubbard U) results for a geometry-optimized NiP2O10 structure.

Computed properties:
ΔH_f (0 K)   -1.1254 eV/atom
Total energy after the MP2020 corrections   -0.4563 Ry/atom
VASP energy   -142.6 eV/cell
Magnetic moment   10.00 μB per formula unit

Cell lengths 5.1817, 9.5535, 8.5738 Å; angles 90.00, 123.79, 90.00 degrees
Space group P2_1/c (No. 14)
Unique sites:
Ni  0.0000  0.0000  0.0000 (multiplicity 2)
P  0.4028  0.2081  0.6709 (multiplicity 4)
O  0.0637  0.5358  0.2951 (multiplicity 4)
O  0.1123  0.1557  0.6634 (multiplicity 4)
O  0.2872  0.6647  0.6528 (multiplicity 4)
O  0.3748  0.1326  0.1398 (multiplicity 4)
O  0.4046  0.1420  0.5064 (multiplicity 4)